[1]
LiLa2Ti2CrO9 (PBE+U, relaxed); total DFT energy (no corrections) = -8.280 eV/atom; SG = No. 4
1.0
5.4759 0.0000 0.0000
0.0000 5.5545 0.0000
-0.0077 0.0000 23.4140
Li La Ti Cr O
4 8 8 4 36
Direct
0.2411 0.0000 0.1677
0.2498 0.9813 0.4997
0.7502 0.4813 0.5003
0.7589 0.5000 0.8323
0.2415 0.0952 0.8325
0.2557 0.0330 0.3334
0.2559 0.0356 0.6640
0.2566 0.0340 0.0023
0.7434 0.5340 0.9977
0.7443 0.5330 0.6666
0.7441 0.5356 0.3360
0.7585 0.5952 0.1675
0.2464 0.5471 0.4237
0.2465 0.5465 0.5763
0.2496 0.5583 0.2472
0.2502 0.5712 0.9109
0.7504 0.0583 0.7528
0.7498 0.0712 0.0891
0.7535 0.0465 0.4237
0.7536 0.0471 0.5763
0.2504 0.5625 0.0845
0.2509 0.5675 0.7500
0.7491 0.0675 0.2500
0.7496 0.0625 0.9155
0.0314 0.8555 0.0989
0.0366 0.8496 0.2358
0.0384 0.8682 0.4309
0.0393 0.8618 0.7572
0.0424 0.8691 0.5700
0.0453 0.8556 0.9067
0.1787 0.5762 0.6643
0.1801 0.5764 0.9998
0.1802 0.5878 0.3355
0.3176 0.5540 0.1684
0.3419 0.5575 0.8334
0.3542 0.5717 0.5000
0.4613 0.2839 0.9287
0.4673 0.2807 0.7368
0.4675 0.3007 0.4017
0.4716 0.2969 0.2668
0.4737 0.3021 0.5976
0.4792 0.2904 0.0678
0.5208 0.7904 0.9322
0.5263 0.8021 0.4024
0.5284 0.7969 0.7332
0.5327 0.7807 0.2632
0.5325 0.8007 0.5983
0.5387 0.7839 0.0713
0.6458 0.0717 0.5000
0.6580 0.0575 0.1666
0.6824 0.0540 0.8316
0.8199 0.0764 0.0002
0.8198 0.0878 0.6645
0.8213 0.0762 0.3357
0.9547 0.3556 0.0933
0.9576 0.3691 0.4300
0.9607 0.3618 0.2428
0.9616 0.3682 0.5691
0.9634 0.3496 0.7642
0.9686 0.3555 0.9011

***

[2]
LiCo2C4O12 (PBE+U, relaxed); ΔE to the lowest computed polymorph = 0.00 eV per formula unit; total DFT energy (no corrections) = -6.894 eV/atom; SG = No. 1
1.0
5.2914 0.0000 0.0000
-2.5862 6.1729 0.0000
-0.0335 -0.1940 7.5279
Li Co C O
1 2 4 12
Direct
0.0000 0.0000 0.0000
0.2042 0.8071 0.5666
0.7049 0.3311 0.0652
0.4502 0.1810 0.3210
0.4685 0.9354 0.8286
0.9523 0.4315 0.8009
0.9651 0.6877 0.3008
0.0448 0.3690 0.9435
0.0862 0.4912 0.6625
0.2113 0.9141 0.8173
0.2183 0.7113 0.3216
0.3266 0.1248 0.4628
0.3385 0.2095 0.1700
0.5559 0.8794 0.6828
0.6186 0.0034 0.9683
0.7006 0.4229 0.8268
0.7154 0.2283 0.2994
0.8354 0.6330 0.1490
0.8555 0.7328 0.4409

***

[3]
MgMn2Fe2P4O16 (PBE+U, relaxed); ΔE to the lowest computed polymorph = 0.00 eV per formula unit; total DFT energy (no corrections) = -7.227 eV/atom; SG = No. 1
1.0
4.8910 0.0000 0.0000
-0.0234 6.0487 0.0000
-0.2659 -0.0884 10.2350
Mg Mn Fe P O
1 2 2 4 16
Direct
0.0000 0.0000 0.0000
0.4797 0.2685 0.7653
0.9425 0.7616 0.7045
0.0287 0.2586 0.2869
0.5153 0.7482 0.2321
0.0712 0.7589 0.4015
0.4138 0.7577 0.9019
0.5887 0.2480 0.0994
0.9064 0.2578 0.5904
0.1650 0.7602 0.5459
0.2004 0.5523 0.3278
0.2046 0.9608 0.3275
0.2126 0.2505 0.6093
0.2537 0.9613 0.8393
0.2744 0.2291 0.1120
0.2964 0.5546 0.8264
0.3185 0.7639 0.0455
0.6819 0.2432 0.9561
0.7179 0.4421 0.1789
0.7278 0.7818 0.8907
0.7527 0.0452 0.1616
0.7577 0.0658 0.6678
0.7623 0.7588 0.3882
0.7704 0.4587 0.6638
0.8214 0.2530 0.4448

***

[4]
KNa2Li3Fe2Si12O30 (PBE+U, relaxed); total DFT energy (no corrections) = -7.259 eV/atom; SG = No. 192
1.0
10.1888 0.0000 0.0000
-5.0944 8.8238 0.0000
0.0000 0.0000 14.3382
K Na Li Fe Si O
2 4 6 4 24 60
Direct
0.0000 0.0000 0.2500
0.0000 0.0000 0.7500
0.3333 0.6667 0.0000
0.3333 0.6667 0.5000
0.6667 0.3333 0.0000
0.6667 0.3333 0.5000
0.0000 0.5000 0.2500
0.0000 0.5000 0.7500
0.5000 0.0000 0.2500
0.5000 0.0000 0.7500
0.5000 0.5000 0.2500
0.5000 0.5000 0.7500
0.3333 0.6667 0.2500
0.3333 0.6667 0.7500
0.6667 0.3333 0.2500
0.6667 0.3333 0.7500
0.1190 0.3554 0.1116
0.1190 0.3554 0.8884
0.1190 0.7635 0.3884
0.1190 0.7635 0.6116
0.2365 0.3554 0.3884
0.2365 0.3554 0.6116
0.2365 0.8810 0.1116
0.2365 0.8810 0.8884
0.3554 0.1190 0.3884
0.3554 0.1190 0.6116
0.3554 0.2365 0.1116
0.3554 0.2365 0.8884
0.6446 0.7635 0.1116
0.6446 0.7635 0.8884
0.6446 0.8810 0.3884
0.6446 0.8810 0.6116
0.7635 0.1190 0.1116
0.7635 0.1190 0.8884
0.7635 0.6446 0.3884
0.7635 0.6446 0.6116
0.8810 0.2365 0.3884
0.8810 0.2365 0.6116
0.8810 0.6446 0.1116
0.8810 0.6446 0.8884
0.0547 0.2758 0.3658
0.0547 0.2758 0.6342
0.0547 0.7789 0.1342
0.0547 0.7789 0.8658
0.1394 0.4015 0.0000
0.1394 0.7379 0.5000
0.1637 0.5056 0.1702
0.1637 0.5056 0.8298
0.1637 0.6580 0.3298
0.1637 0.6580 0.6702
0.2211 0.2758 0.1342
0.2211 0.2758 0.8658
0.2211 0.9453 0.3658
0.2211 0.9453 0.6342
0.2621 0.4015 0.5000
0.2621 0.8606 0.0000
0.2758 0.0547 0.1342
0.2758 0.0547 0.8658
0.2758 0.2211 0.3658
0.2758 0.2211 0.6342
0.3420 0.5056 0.3298
0.3420 0.5056 0.6702
0.3420 0.8363 0.1702
0.3420 0.8363 0.8298
0.4015 0.1394 0.5000
0.4015 0.2621 0.0000
0.4944 0.6580 0.1702
0.4944 0.6580 0.8298
0.4944 0.8363 0.3298
0.4944 0.8363 0.6702
0.5056 0.1637 0.3298
0.5056 0.1637 0.6702
0.5056 0.3420 0.1702
0.5056 0.3420 0.8298
0.5985 0.7379 0.0000
0.5985 0.8606 0.5000
0.6580 0.1637 0.1702
0.6580 0.1637 0.8298
0.6580 0.4944 0.3298
0.6580 0.4944 0.6702
0.7242 0.7789 0.3658
0.7242 0.7789 0.6342
0.7242 0.9453 0.1342
0.7242 0.9453 0.8658
0.7379 0.1394 0.0000
0.7379 0.5985 0.5000
0.7789 0.0547 0.3658
0.7789 0.0547 0.6342
0.7789 0.7242 0.1342
0.7789 0.7242 0.8658
0.8363 0.3420 0.3298
0.8363 0.3420 0.6702
0.8363 0.4944 0.1702
0.8363 0.4944 0.8298
0.8606 0.2621 0.5000
0.8606 0.5985 0.0000
0.9453 0.2211 0.1342
0.9453 0.2211 0.8658
0.9453 0.7242 0.3658
0.9453 0.7242 0.6342

***

[5]
GdCrTeO6 (PBE+U, relaxed); ΔE to the lowest computed polymorph = 0.00 eV per formula unit; total DFT energy (no corrections) = -8.127 eV/atom; SG = No. 163
1.0
5.2035 0.0000 0.0000
-2.6018 4.5064 0.0000
0.0000 0.0000 9.9775
Gd Cr Te O
2 2 2 12
Direct
0.0000 0.0000 0.0000
0.0000 0.0000 0.5000
0.3333 0.6667 0.2500
0.6667 0.3333 0.7500
0.3333 0.6667 0.7500
0.6667 0.3333 0.2500
0.0098 0.3678 0.8590
0.0098 0.6420 0.6410
0.3580 0.3678 0.6410
0.3580 0.9902 0.8590
0.3678 0.0098 0.3590
0.3678 0.3580 0.1410
0.6322 0.6420 0.8590
0.6322 0.9902 0.6410
0.6420 0.0098 0.1410
0.6420 0.6322 0.3590
0.9902 0.3580 0.3590
0.9902 0.6322 0.1410

***

[6]
YCr3O6 (PBE+U, relaxed); total DFT energy (no corrections) = -8.164 eV/atom; SG = No. 164
1.0
6.1970 0.0000 0.0000
-3.0985 5.3668 0.0000
0.0000 0.0000 15.1451
Y Cr O
4 12 24
Direct
0.0000 0.0000 0.1291
0.0000 0.0000 0.8709
0.3333 0.6667 0.4477
0.6667 0.3333 0.5523
0.0000 0.0000 0.5000
0.0000 0.5000 0.0000
0.1719 0.3438 0.6687
0.1719 0.8281 0.6687
0.3333 0.6667 0.8291
0.3438 0.1719 0.3313
0.5000 0.0000 0.0000
0.5000 0.5000 0.0000
0.6562 0.8281 0.6687
0.6667 0.3333 0.1709
0.8281 0.1719 0.3313
0.8281 0.6562 0.3313
0.0000 0.0000 0.2703
0.0000 0.0000 0.7297
0.0526 0.5263 0.7401
0.1408 0.2816 0.4135
0.1408 0.8592 0.4135
0.1892 0.3783 0.9208
0.1892 0.8108 0.9208
0.2816 0.1408 0.5865
0.3333 0.6667 0.0612
0.3333 0.6667 0.5927
0.3783 0.1892 0.0792
0.4737 0.5263 0.7401
0.4737 0.9474 0.7401
0.5263 0.0526 0.2599
0.5263 0.4737 0.2599
0.6217 0.8108 0.9208
0.6667 0.3333 0.4073
0.6667 0.3333 0.9388
0.7184 0.8592 0.4135
0.8108 0.1892 0.0792
0.8108 0.6217 0.0792
0.8592 0.1408 0.5865
0.8592 0.7184 0.5865
0.9474 0.4737 0.2599

***

Number 1: formation energy -50.62 eV/f.u.. Number 2: formation energy -30.08 eV/f.u.. Number 3: formation energy -61.83 eV/f.u.. Number 4: formation energy -148.09 eV/f.u.. Number 5: formation energy -22.70 eV/f.u.. Number 6: formation energy -26.65 eV/f.u..